# 1
VASP calculation (PBE-GGA) on a relaxed LiLu2Al crystal.

Unit cell a=5.0434 b=5.0434 c=5.0434 alpha=60.00 beta=60.00 gamma=60.00
Last column: nearest neighbours and their distance in Å.
Fractional positions:
Li1 0.5000 0.5000 0.5000  8 Lu 3.09
Lu1 0.7500 0.7500 0.7500  4 Li 3.09, 4 Al 3.09
Lu2 0.2500 0.2500 0.2500  4 Li 3.09, 4 Al 3.09
Al1 0.0000 0.0000 0.0000  8 Lu 3.09

Summary:
SG: Fm-3m



# 2
VASP calculation (PBE-GGA) on a relaxed LiLu2Al2O6 crystal.

Unit cell a=3.3306 b=3.3306 c=14.1881 alpha=90.00 beta=90.00 gamma=120.00
Last column: nearest neighbours and their distance in Å.
Fractional positions:
Li1 0.6665 0.3335 0.1186  3 O 2.34-2.35
Lu1 0.9995 0.0006 0.9416  6 O 2.19-2.25
Lu2 0.9994 0.0006 0.5291  6 O 2.20-2.21
Al1 0.3327 0.6672 0.3227  4 O 1.87-1.92
Al2 0.6661 0.3339 0.7362  5 O 1.86-1.92
O1 0.3328 0.6673 0.0241  3 Lu 2.25, 3 Li 2.34-2.35
O2 0.3327 0.6673 0.4542  1 Al 1.87
O3 0.9994 0.0006 0.3184  3 Al 1.92
O4 0.9994 0.0006 0.7374  3 Al 1.92
O5 0.6661 0.3339 0.8678  1 Al 1.87
O6 0.6661 0.3340 0.6054  1 Al 1.86

Summary:
Spin magnetization in μB per cell: 0.000
SG: P3m1



Q: Which energy relative to the elements values were calculated for the entries above? A: -199; -3304, in meV per atom.